i) A plane-wave DFT calculation with PBE was carried out for crystalline LiZr2Se2O2 at its relaxed geometry.

a b c (Å): 3.6140 3.6140 8.8039
angles (deg): 90.00 90.00 90.00
Space group P4mm (No. 99)
Inequivalent atoms, fractional coordinates:
Li 0.0000 0.0000 0.0000 x1
Zr 0.0000 0.0000 0.2680 x1
Zr 0.5000 0.5000 0.9206 x1
Se 0.0000 0.0000 0.7432 x1
Se 0.5000 0.5000 0.3993 x1
O 0.0000 0.5000 0.0625 x2

total moment = 0.7 μB/cell
theoretical density = 5.5 g/cm³

---

ii) A plane-wave DFT calculation with PBE was carried out for crystalline LiZr2Se2O2 at its relaxed geometry.

a b c (Å): 3.6360 3.6360 9.0203
angles (deg): 90.00 90.00 90.00
Space group P-4m2 (No. 115)
Inequivalent atoms, fractional coordinates:
Li 0.0000 0.0000 0.0000 x1
Zr 0.0000 0.5000 0.3665 x2
Se 0.0000 0.5000 0.7965 x2
O 0.0000 0.0000 0.5000 x1
O 0.5000 0.5000 0.5000 x1

total moment = 1.0 μB/cell
theoretical density = 5.3 g/cm³

---

ii) has the most favorable energy; the next structure is 34.1 kJ/mol of atoms above.

---

i) A plane-wave DFT calculation with PBE was carried out for crystalline LiSi6O12 at its relaxed geometry.

a b c (Å): 5.1933 7.5198 7.5357
angles (deg): 93.61 109.30 109.39
Space group P1 (No. 1)
Inequivalent atoms, fractional coordinates:
Li 0.0000 0.0000 0.0000 x1
Si 0.0281 0.4066 0.1216 x1
Si 0.4116 0.6911 0.7444 x1
Si 0.5080 0.8201 0.1679 x1
Si 0.5304 0.2325 0.2804 x1
Si 0.9170 0.8679 0.5917 x1
Si 0.9403 0.2815 0.7053 x1
O 0.0106 0.0814 0.7255 x1
O 0.2042 0.8084 0.6452 x1
O 0.2194 0.2702 0.2016 x1
O 0.2299 0.4605 0.7129 x1
O 0.2382 0.6329 0.1694 x1
O 0.4014 0.0060 0.1623 x1
O 0.6024 0.7956 0.9785 x1
O 0.6533 0.2449 0.5111 x1
O 0.6629 0.7160 0.6509 x1
O 0.7814 0.3798 0.2175 x1
O 0.8016 0.8735 0.3625 x1
O 0.8556 0.3240 0.8905 x1

total moment = 0.0 μB/cell
theoretical density = 2.4 g/cm³

---

ii) A plane-wave DFT calculation with PBE was carried out for crystalline LiSi6O12 at its relaxed geometry.

a b c (Å): 5.0370 7.6490 7.6527
angles (deg): 74.01 71.09 71.31
Space group P-1 (No. 2)
Inequivalent atoms, fractional coordinates:
Li 0.0000 0.0000 0.0000 x1
Si 0.0084 0.7445 0.2584 x2
Si 0.0696 0.1828 0.1757 x2
Si 0.4113 0.3398 0.3408 x2
O 0.0677 0.2370 0.9464 x2
O 0.0895 0.9500 0.2287 x2
O 0.2356 0.7044 0.6992 x2
O 0.2759 0.2671 0.5652 x2
O 0.2852 0.5676 0.2839 x2
O 0.3429 0.2274 0.2098 x2

total moment = 0.0 μB/cell
theoretical density = 2.4 g/cm³

---

i) has the most favorable energy; the next structure is 8.9 kJ/mol of atoms above.

---

i) A plane-wave DFT calculation with PBE was carried out for crystalline LiSi6O12 at its relaxed geometry.

a b c (Å): 14.2634 5.3146 9.0441
angles (deg): 90.00 129.16 90.00
Space group C2 (No. 5)
Inequivalent atoms, fractional coordinates:
Li 0.0000 0.0000 0.0000 x2
Si 0.0000 0.4916 0.5000 x2
Si 0.0000 0.5001 0.0000 x2
Si 0.1685 0.2857 0.4185 x4
Si 0.1686 0.7053 0.9151 x4
O 0.0781 0.7021 0.9744 x4
O 0.0811 0.3090 0.4751 x4
O 0.0835 0.2979 0.1799 x4
O 0.0872 0.6728 0.6858 x4
O 0.2294 0.0068 0.4812 x4
O 0.2300 0.9838 0.9712 x4

total moment = 0.0 μB/cell
theoretical density = 2.3 g/cm³

---

ii) A plane-wave DFT calculation with PBE was carried out for crystalline LiSi6O12 at its relaxed geometry.

a b c (Å): 5.2609 7.4845 7.6183
angles (deg): 72.42 70.44 70.83
Space group P1 (No. 1)
Inequivalent atoms, fractional coordinates:
Li 0.0000 0.0000 0.0000 x1
Si 0.0522 0.4089 0.0211 x1
Si 0.3911 0.5866 0.1785 x1
Si 0.4065 0.5292 0.5987 x1
Si 0.4119 0.9628 0.5464 x1
Si 0.4256 0.9959 0.1313 x1
Si 0.7659 0.1269 0.6994 x1
O 0.1013 0.0435 0.6852 x1
O 0.1282 0.1715 0.0815 x1
O 0.1584 0.4789 0.7883 x1
O 0.1950 0.4978 0.1216 x1
O 0.3037 0.8230 0.0937 x1
O 0.3128 0.5445 0.4109 x1
O 0.4045 0.0696 0.3283 x1
O 0.4741 0.7284 0.5913 x1
O 0.6472 0.0936 0.9316 x1
O 0.6486 0.0095 0.6083 x1
O 0.6942 0.3564 0.6021 x1
O 0.7155 0.4889 0.0848 x1

total moment = 1.0 μB/cell
theoretical density = 2.3 g/cm³

---

ii) has the most favorable energy; the next structure is 0.7 kJ/mol of atoms above.

---

i) A plane-wave DFT calculation with PBE was carried out for crystalline LiTiSi4O10 at its relaxed geometry.

a b c (Å): 5.0003 7.1066 11.7077
angles (deg): 90.00 90.00 90.00
Space group Pnc2 (No. 30)
Inequivalent atoms, fractional coordinates:
Li 0.0000 0.0000 0.0000 x2
Ti 0.5000 0.0000 0.0809 x2
Si 0.0845 0.2100 0.7176 x4
Si 0.4173 0.7116 0.8707 x4
O 0.0000 0.0000 0.6744 x2
O 0.1896 0.6907 0.7692 x4
O 0.2035 0.1616 0.1149 x4
O 0.3045 0.6652 0.4766 x4
O 0.3121 0.1880 0.8181 x4
O 0.5000 0.0000 0.4115 x2

total moment = 2.0 μB/cell
theoretical density = 2.6 g/cm³

---

ii) A plane-wave DFT calculation with PBE was carried out for crystalline LiTiSi4O10 at its relaxed geometry.

a b c (Å): 8.0172 5.2667 11.5715
angles (deg): 90.00 111.01 90.00
Space group P2/c (No. 13)
Inequivalent atoms, fractional coordinates:
Li 0.0000 0.2456 0.2500 x2
Ti 0.0000 0.2523 0.7500 x2
Si 0.2992 0.0362 0.5000 x4
Si 0.2987 0.4619 0.1511 x4
O 0.1514 0.0074 0.8617 x4
O 0.1533 0.5002 0.2180 x4
O 0.2711 0.1719 0.0966 x4
O 0.2713 0.3260 0.5420 x4
O 0.5000 0.0000 0.0000 x2
O 0.5000 0.4966 0.2500 x2

total moment = 2.0 μB/cell
theoretical density = 2.4 g/cm³

---

ii) has the most favorable energy; the next structure is 2.1 kJ/mol of atoms above.

---

i) A plane-wave DFT calculation with PBE was carried out for crystalline LiZn4Sn4O8 at its relaxed geometry.

a b c (Å): 3.2884 8.9430 8.9691
angles (deg): 87.35 79.53 85.51
Space group P-1 (No. 2)
Inequivalent atoms, fractional coordinates:
Li 0.0000 0.0000 0.0000 x1
Zn 0.1327 0.2509 0.6285 x2
Zn 0.3614 0.0480 0.2576 x2
Sn 0.0530 0.6823 0.0213 x2
Sn 0.2858 0.6185 0.6596 x2
O 0.1025 0.0722 0.7612 x2
O 0.2510 0.2200 0.3976 x2
O 0.3704 0.6158 0.4121 x2
O 0.4514 0.1638 0.0507 x2

total moment = 0.0 μB/cell
theoretical density = 5.6 g/cm³

---

ii) A plane-wave DFT calculation with PBE was carried out for crystalline LiZn4Sn4O8 at its relaxed geometry.

a b c (Å): 3.4014 8.4951 9.6197
angles (deg): 85.30 80.07 80.91
Space group P1 (No. 1)
Inequivalent atoms, fractional coordinates:
Li 0.0000 0.0000 0.0000 x1
Zn 0.1024 0.1938 0.5494 x1
Zn 0.3494 0.6235 0.7150 x1
Zn 0.6053 0.4559 0.3509 x1
Zn 0.8597 0.3589 0.9098 x1
Sn 0.1589 0.6727 0.0636 x1
Sn 0.3218 0.1277 0.2199 x1
Sn 0.6075 0.0014 0.7772 x1
Sn 0.8941 0.7909 0.4583 x1
O 0.1523 0.3221 0.3638 x1
O 0.3040 0.5003 0.9005 x1
O 0.4600 0.6148 0.4982 x1
O 0.6477 0.0526 0.5563 x1
O 0.6577 0.5584 0.1573 x1
O 0.8138 0.7537 0.6867 x1
O 0.8575 0.2039 0.0875 x1
O 0.9159 0.2257 0.7500 x1

total moment = 0.0 μB/cell
theoretical density = 5.4 g/cm³

---

iii) A plane-wave DFT calculation with PBE was carried out for crystalline LiZn4Sn4O8 at its relaxed geometry.

a b c (Å): 3.3369 8.7476 9.7233
angles (deg): 99.13 99.87 100.97
Space group P1 (No. 1)
Inequivalent atoms, fractional coordinates:
Li 0.0000 0.0000 0.0000 x1
Zn 0.0400 0.2107 0.8710 x1
Zn 0.1763 0.0248 0.3284 x1
Zn 0.3042 0.9141 0.6947 x1
Zn 0.9304 0.3311 0.5327 x1
Sn 0.3935 0.6926 0.0932 x1
Sn 0.5740 0.7047 0.4442 x1
Sn 0.6658 0.5560 0.7795 x1
Sn 0.7772 0.3461 0.2094 x1
O 0.0027 0.8667 0.1382 x1
O 0.0540 0.3620 0.7494 x1
O 0.1616 0.2328 0.0910 x1
O 0.1805 0.8863 0.4754 x1
O 0.4681 0.0701 0.8673 x1
O 0.5068 0.4657 0.5511 x1
O 0.7255 0.7784 0.6726 x1
O 0.7577 0.1652 0.3513 x1

total moment = 0.0 μB/cell
theoretical density = 5.4 g/cm³

---

iii) has the most favorable energy; the next structure is 1.1 kJ/mol of atoms above.

---

i) A plane-wave DFT calculation with PBE was carried out for crystalline Li3TaO4 at its relaxed geometry.

a b c (Å): 4.1296 4.1296 8.7180
angles (deg): 90.00 90.00 90.00
Space group I4/mmm (No. 139)
Inequivalent atoms, fractional coordinates:
Li 0.0000 0.0000 0.0000 x2
Li 0.0000 0.5000 0.2500 x4
Ta 0.0000 0.0000 0.5000 x2
O 0.0000 0.0000 0.2779 x4
O 0.0000 0.5000 0.0000 x4

total moment = 0.0 μB/cell
theoretical density = 5.9 g/cm³

---

ii) A plane-wave DFT calculation with PBE was carried out for crystalline Li3TaO4 at its relaxed geometry.

a b c (Å): 8.5920 8.6035 9.3992
angles (deg): 90.00 116.95 90.00
Space group C2/c (No. 15)
Inequivalent atoms, fractional coordinates:
Li 0.0419 0.1029 0.1251 x8
Li 0.1815 0.3760 0.3644 x8
Li 0.1874 0.1198 0.8854 x8
Ta 0.0790 0.3592 0.6248 x8
O 0.0574 0.3904 0.1116 x8
O 0.0601 0.1386 0.6175 x8
O 0.1649 0.3767 0.8616 x8
O 0.1966 0.1248 0.3675 x8

theoretical density = 5.7 g/cm³

---

ii) has the most favorable energy; the next structure is 6.2 kJ/mol of atoms above.

---

i) A plane-wave DFT calculation with PBE was carried out for crystalline Li6TeO6 at its relaxed geometry.

a b c (Å): 5.8195 5.8195 13.7140
angles (deg): 90.00 90.00 120.00
Space group R-3 (No. 148, hexagonal axes)
Inequivalent atoms, fractional coordinates:
Li 0.0247 0.6135 0.3965 x18
Te 0.0000 0.0000 0.5000 x3
O 0.0206 0.7356 0.5826 x18

total moment = 0.0 μB/cell
theoretical density = 3.3 g/cm³

---

ii) A plane-wave DFT calculation with PBE was carried out for crystalline Li6TeO6 at its relaxed geometry.

a b c (Å): 8.0213 8.0213 7.0502
angles (deg): 90.00 90.00 120.00
Space group R-3 (No. 148, hexagonal axes)
Inequivalent atoms, fractional coordinates:
Li 0.0308 0.7628 0.1746 x18
Te 0.0000 0.0000 0.5000 x3
O 0.0629 0.8390 0.6599 x18

theoretical density = 3.4 g/cm³

---

ii) has the most favorable energy; the next structure is 5.5 kJ/mol of atoms above.